Record 1
Below is a relaxed Mg9Si5 crystal, with properties calculated at the PBE-GGA level.

For the volume, the calculation gives 19.995 Å³/atom. The formation energy from the elements comes out at 0.001 eV per atom. The space group is P1 (1).

POSCAR file:
```
Mg9Si5
1.0
-7.255 0.000 0.000
3.508 6.364 0.000
-1.127 -2.319 -12.126
Mg Si
18 10
Direct
0.659 0.820 0.293
0.897 0.613 0.162
0.909 0.561 0.823
0.037 0.231 0.662
0.369 0.351 0.155
0.317 0.057 0.534
0.248 0.695 0.639
0.573 0.537 0.633
0.591 0.660 0.993
0.215 0.014 0.296
0.336 0.186 0.818
0.297 0.889 0.988
0.815 0.282 0.453
0.210 0.629 0.366
0.684 0.970 0.819
0.653 0.134 0.172
0.059 0.363 0.986
0.890 0.772 0.465
0.650 0.196 0.664
0.982 0.852 0.685
0.235 0.340 0.465
0.581 0.884 0.512
0.316 0.572 0.819
0.978 0.953 0.948
0.570 0.410 0.354
0.965 0.025 0.151
0.318 0.702 0.155
0.644 0.302 0.989
```


Record 2
Below is a relaxed KGdNb4O12 crystal, with properties calculated at the PBE-GGA level.

For the volume, the calculation gives 13.899 Å³/atom. The formation energy from the elements comes out at -3.072 eV per atom. The space group is Amm2 (38).

POSCAR file:
```
KGdNb4O12
1.0
0.000 -3.947 -3.975
0.000 -3.947 3.975
-7.972 0.000 0.000
Nb O K Gd
4 12 1 1
Direct
0.002 0.490 0.748
0.510 0.998 0.252
0.002 0.490 0.252
0.510 0.998 0.748
0.222 0.223 0.762
0.528 0.035 0.500
0.286 0.714 0.734
0.703 0.297 0.197
0.222 0.223 0.238
0.777 0.778 0.238
0.965 0.472 0.500
0.703 0.297 0.803
0.286 0.714 0.266
0.474 0.945 0.000
0.055 0.526 0.000
0.777 0.778 0.762
0.016 0.984 0.500
0.473 0.527 0.000
```


Record 3
Below is a relaxed Gd2Zr2O7 crystal, with properties calculated at the PBE-GGA level.

For the volume, the calculation gives 17.910 Å³/atom. The formation energy from the elements comes out at -3.570 eV per atom. The space group is P1 (1).

POSCAR file:
```
Gd2Zr2O7
1.0
-2.886 5.995 -3.093
-3.196 -6.668 -1.432
-4.498 0.193 11.939
O Gd Zr
21 6 6
Direct
0.792 0.143 0.098
0.206 0.328 0.416
0.867 0.500 0.816
0.322 0.962 0.808
0.872 0.424 0.319
0.615 0.573 0.195
0.660 0.278 0.936
0.185 0.511 0.199
0.436 0.250 0.596
0.900 0.654 0.069
0.345 0.151 0.036
0.836 0.900 0.772
0.848 0.648 0.588
0.381 0.925 0.300
0.404 0.420 0.822
0.598 0.743 0.418
0.861 0.971 0.294
0.837 0.194 0.524
0.387 0.726 0.047
0.383 0.689 0.578
0.116 0.824 0.441
0.989 0.732 0.251
0.010 0.468 0.010
0.535 0.482 0.014
0.998 0.028 0.482
0.015 0.518 0.503
0.484 0.973 0.482
0.506 0.753 0.241
0.984 0.766 0.756
0.526 0.275 0.773
0.477 0.012 0.988
0.978 0.266 0.254
0.503 0.533 0.525
```


Record 4
Below is a relaxed Na2BeSi2O6 crystal, with properties calculated at the PBE-GGA level.

For the volume, the calculation gives 12.641 Å³/atom. The formation energy from the elements comes out at -2.915 eV per atom. The space group is Fddd (70).

POSCAR file:
```
Na2BeSi2O6
1.0
-8.850 4.600 11.638
-6.856 9.218 1.625
-7.769 -5.457 5.953
O Si Be Na
36 12 6 12
Direct
0.150 0.941 0.779
0.125 0.125 0.125
0.742 0.807 0.042
0.498 0.723 0.378
0.130 0.779 0.941
0.102 0.513 0.857
0.508 0.443 0.208
0.807 0.742 0.409
0.378 0.401 0.498
0.872 0.849 0.752
0.409 0.042 0.807
0.125 0.625 0.125
0.752 0.527 0.872
0.125 0.125 0.625
0.849 0.872 0.527
0.148 0.737 0.393
0.941 0.150 0.130
0.527 0.752 0.849
0.120 0.471 0.309
0.042 0.409 0.742
0.208 0.841 0.508
0.471 0.120 0.100
0.723 0.498 0.401
0.443 0.508 0.841
0.513 0.102 0.528
0.625 0.125 0.125
0.737 0.148 0.722
0.100 0.309 0.471
0.779 0.130 0.150
0.841 0.208 0.443
0.309 0.100 0.120
0.393 0.722 0.148
0.722 0.393 0.737
0.857 0.528 0.102
0.401 0.378 0.723
0.528 0.857 0.513
0.972 0.676 0.346
0.904 0.244 0.278
0.906 0.906 0.594
0.006 0.346 0.676
0.656 0.656 0.344
0.594 0.594 0.906
0.344 0.344 0.656
0.574 0.278 0.244
0.278 0.574 0.904
0.676 0.972 0.006
0.244 0.904 0.574
0.346 0.006 0.972
0.250 0.250 0.250
0.000 0.000 0.000
0.934 0.566 0.934
0.566 0.934 0.566
0.684 0.316 0.684
0.316 0.684 0.316
0.384 0.742 0.782
0.782 0.092 0.384
0.866 0.508 0.468
0.181 0.181 0.819
0.508 0.866 0.158
0.468 0.158 0.866
0.431 0.431 0.069
0.819 0.819 0.181
0.092 0.782 0.742
0.742 0.384 0.092
0.069 0.069 0.431
0.158 0.468 0.508
```


Record 5
Below is a relaxed MoWSeS3 crystal, with properties calculated at the PBE-GGA level.

For the volume, the calculation gives 27.223 Å³/atom. The formation energy from the elements comes out at -1.035 eV per atom. The space group is P3m1 (156).

POSCAR file:
```
MoWSeS3
1.0
1.610 -2.788 0.000
1.610 2.788 0.000
0.000 0.000 36.384
S Mo W Se
6 2 2 2
Direct
0.333 0.667 0.427
0.333 0.667 0.137
0.000 0.000 0.325
0.000 0.000 0.239
0.333 0.667 0.513
0.333 0.667 0.051
0.333 0.667 0.658
0.000 0.000 0.094
0.333 0.667 0.282
0.000 0.000 0.470
0.000 0.000 0.611
0.000 0.000 0.705
```


Record 6
Below is a relaxed K6NbTlAs4 crystal, with properties calculated at the PBE-GGA level.

For the volume, the calculation gives 32.945 Å³/atom. The formation energy from the elements comes out at -0.470 eV per atom. The space group is Pnma (62).

POSCAR file:
```
K6NbTlAs4
1.0
-5.548 0.279 5.587
-4.325 -8.827 -3.854
11.026 -10.409 11.466
K Nb As Tl
24 4 16 4
Direct
0.056 0.250 0.997
0.006 0.954 0.257
0.994 0.454 0.743
0.219 0.981 0.579
0.821 0.750 0.652
0.556 0.750 0.503
0.219 0.519 0.579
0.006 0.546 0.257
0.506 0.046 0.243
0.719 0.019 0.921
0.506 0.454 0.243
0.444 0.250 0.497
0.494 0.954 0.757
0.781 0.481 0.421
0.321 0.250 0.848
0.781 0.019 0.421
0.679 0.750 0.152
0.179 0.250 0.348
0.494 0.546 0.757
0.281 0.981 0.079
0.944 0.750 0.003
0.994 0.046 0.743
0.719 0.481 0.921
0.281 0.519 0.079
0.105 0.750 0.830
0.895 0.250 0.170
0.605 0.250 0.670
0.395 0.750 0.330
0.288 0.944 0.398
0.712 0.444 0.602
0.788 0.444 0.102
0.711 0.750 0.330
0.705 0.250 0.795
0.288 0.556 0.398
0.212 0.944 0.898
0.788 0.056 0.102
0.212 0.556 0.898
0.295 0.750 0.205
0.712 0.056 0.602
0.205 0.750 0.705
0.789 0.750 0.830
0.211 0.250 0.170
0.289 0.250 0.670
0.795 0.250 0.295
0.940 0.250 0.551
0.060 0.750 0.449
0.560 0.250 0.051
0.440 0.750 0.949
```


Record 7
Below is a relaxed BaAuO2 crystal, with properties calculated at the PBE-GGA level.

For the volume, the calculation gives 17.743 Å³/atom. The formation energy from the elements comes out at -1.710 eV per atom. The space group is P4/mmm (123).

POSCAR file:
```
BaAuO2
1.0
4.341 0.000 0.000
0.000 4.341 0.000
0.000 0.000 3.767
Ba O Au
1 2 1
Direct
0.500 0.500 0.500
0.000 0.500 0.000
0.500 0.000 0.000
0.000 0.000 0.000
```


Record 8
Below is a relaxed HoUTe6 crystal, with properties calculated at the PBE-GGA level.

For the volume, the calculation gives 30.205 Å³/atom. The formation energy from the elements comes out at -1.028 eV per atom. The space group is Amm2 (38).

POSCAR file:
```
HoUTe6
1.0
0.335 12.638 2.280
-0.524 -11.143 -6.372
-4.370 0.075 0.229
Te U Ho
6 1 1
Direct
0.707 0.293 0.000
0.425 0.575 0.000
0.071 0.929 0.000
0.925 0.075 0.500
0.296 0.704 0.500
0.572 0.428 0.500
0.835 0.165 0.000
0.167 0.833 0.500
```


Record 9
Below is a relaxed SrNd2Se4 crystal, with properties calculated at the PBE-GGA level.

For the volume, the calculation gives 26.656 Å³/atom. The formation energy from the elements comes out at -2.206 eV per atom. The space group is I-42d (122).

POSCAR file:
```
SrNd2Se4
1.0
-4.536 4.536 4.534
4.536 -4.536 4.534
4.536 4.536 -4.534
Se Nd Sr
8 4 2
Direct
0.231 0.482 0.597
0.366 0.769 0.251
0.732 0.981 0.097
0.885 0.634 0.403
0.019 0.116 0.751
0.365 0.268 0.249
0.518 0.115 0.749
0.884 0.635 0.903
0.999 0.375 0.124
0.125 0.001 0.376
0.625 0.749 0.624
0.251 0.875 0.876
0.750 0.250 0.500
0.500 0.500 0.000
```


Record 10
Below is a relaxed BaSrZrNbO6 crystal, with properties calculated at the PBE-GGA level.

For the volume, the calculation gives 14.545 Å³/atom. The formation energy from the elements comes out at -3.378 eV per atom. The space group is F-43m (216).

POSCAR file:
```
BaSrZrNbO6
1.0
0.000 -4.174 -4.174
4.174 0.000 -4.174
4.174 -4.174 0.000
O Sr Ba Zr Nb
6 1 1 1 1
Direct
0.246 0.246 0.754
0.246 0.754 0.754
0.754 0.754 0.246
0.246 0.754 0.246
0.754 0.246 0.246
0.754 0.246 0.754
0.250 0.250 0.250
0.750 0.750 0.750
0.500 0.500 0.500
0.000 0.000 0.000
```


Record 11
Below is a relaxed Hg2P4PdO8 crystal, with properties calculated at the PBE-GGA level.

For the volume, the calculation gives 23.570 Å³/atom. The formation energy from the elements comes out at -1.501 eV per atom. The space group is Fddd (70).

POSCAR file:
```
Hg2P4PdO8
1.0
5.722 -4.491 7.932
-3.424 -6.700 6.651
3.863 -8.612 -1.035
O P Hg Pd
16 8 4 2
Direct
0.380 0.802 0.735
0.726 0.387 0.864
0.024 0.864 0.387
0.515 0.167 0.870
0.083 0.735 0.802
0.735 0.083 0.380
0.864 0.024 0.726
0.226 0.386 0.863
0.863 0.524 0.226
0.386 0.226 0.524
0.167 0.515 0.448
0.448 0.870 0.167
0.524 0.863 0.386
0.870 0.448 0.515
0.387 0.726 0.024
0.802 0.380 0.083
0.330 0.288 0.965
0.920 0.962 0.285
0.417 0.965 0.288
0.962 0.920 0.833
0.285 0.833 0.920
0.833 0.285 0.962
0.288 0.330 0.417
0.965 0.417 0.330
0.625 0.125 0.625
0.625 0.625 0.125
0.125 0.625 0.625
0.625 0.625 0.625
0.250 0.250 0.250
0.000 0.000 0.000
```


Record 12
Below is a relaxed Na3LaAlP3O12 crystal, with properties calculated at the PBE-GGA level.

For the volume, the calculation gives 13.539 Å³/atom. The formation energy from the elements comes out at -2.932 eV per atom. The space group is P1 (1).

POSCAR file:
```
Na3LaAlP3O12
1.0
13.280 0.023 -8.860
-0.005 9.086 -0.032
-0.210 -0.032 9.117
O P Na La Al
48 12 12 4 4
Direct
0.961 0.636 0.448
0.679 0.945 0.254
0.761 0.188 0.273
0.935 0.935 0.084
0.434 0.147 0.427
0.922 0.869 0.775
0.081 0.989 0.409
0.669 0.146 0.426
0.364 0.177 0.101
0.336 0.941 0.212
0.538 0.528 0.907
0.346 0.087 0.787
0.054 0.076 0.914
0.042 0.317 0.573
0.141 0.343 0.912
0.970 0.348 0.923
0.153 0.548 0.746
0.273 0.831 0.781
0.388 0.647 0.181
0.776 0.656 0.262
0.037 0.664 0.081
0.871 0.636 0.109
0.867 0.579 0.766
0.564 0.652 0.246
0.522 0.472 0.396
0.238 0.315 0.765
0.225 0.659 0.209
0.779 0.339 0.751
0.691 0.060 0.759
0.432 0.437 0.059
0.765 0.805 0.775
0.400 0.333 0.758
0.929 0.061 0.577
0.168 0.617 0.415
0.563 0.312 0.768
0.421 0.508 0.574
0.243 0.178 0.206
0.144 0.421 0.206
0.868 0.364 0.587
0.071 0.863 0.753
0.057 0.168 0.191
0.572 0.844 0.586
0.920 0.144 0.251
0.563 0.167 0.087
0.461 0.875 0.955
0.861 0.413 0.268
0.358 0.879 0.619
0.675 0.864 0.925
0.870 0.407 0.756
0.676 0.892 0.760
0.141 0.378 0.747
0.865 0.585 0.266
0.341 0.110 0.233
0.996 0.970 0.755
0.478 0.551 0.217
0.142 0.592 0.224
0.357 0.918 0.786
0.482 0.420 0.751
0.998 0.058 0.229
0.665 0.116 0.254
0.235 0.773 0.987
0.997 0.387 0.232
0.754 0.722 0.513
0.007 0.607 0.749
0.237 0.219 0.490
0.504 0.084 0.779
0.819 0.084 0.711
0.821 0.933 0.218
0.309 0.560 0.727
0.754 0.264 0.017
0.502 0.927 0.234
0.294 0.428 0.178
0.399 0.747 0.442
0.599 0.265 0.552
0.610 0.736 0.057
0.104 0.770 0.541
0.905 0.754 0.943
0.097 0.249 0.042
0.900 0.253 0.448
0.376 0.259 0.927
```


Question: Which of these has the lowest volume?
Answer: Na2BeSi2O6